[1]
! WOF4 | the Materials Project database | GGA+U | optimized geometry; values from VASP
&SYSTEM
  ibrav = 0, nat = 12, ntyp = 3
/
ATOMIC_SPECIES
W 183.84 W.upf
O 16.00 O.upf
F 19.00 F.upf
ATOMIC_POSITIONS crystal
W 0.215 0.864 0.740
W 0.785 0.136 0.260
O 0.260 0.654 0.992
O 0.740 0.346 0.008
F 0.132 0.168 0.827
F 0.089 0.144 0.379
F 0.258 0.645 0.545
F 0.479 0.972 0.739
F 0.521 0.028 0.261
F 0.742 0.355 0.455
F 0.911 0.856 0.621
F 0.868 0.832 0.173
CELL_PARAMETERS angstrom
-0.221 5.423 -3.726
1.011 -2.621 -4.613
-5.535 -2.592 -1.058
! Space group: P-1 (2)
! Energy relative to the lowest polymorph listed for this composition, eV per atom: 0.054
! ΔE_f, meV/atom: -2629
! V, Å³/atom: 17.510
! Uncorrected energy, eV per atom: -5.73



[2]
! WO2F | the Materials Project database | GGA+U | optimized geometry; values from VASP
&SYSTEM
  ibrav = 0, nat = 24, ntyp = 3
/
ATOMIC_SPECIES
W 183.84 W.upf
O 16.00 O.upf
F 19.00 F.upf
ATOMIC_POSITIONS crystal
W 0.326 0.662 0.584
W 0.984 0.987 0.751
W 0.632 0.299 0.917
W 0.674 0.338 0.416
W 0.368 0.701 0.083
W 0.016 0.013 0.249
O 0.673 0.832 0.670
O 0.000 0.500 0.500
O 0.699 0.854 0.167
O 0.172 0.821 0.667
O 0.828 0.179 0.333
O 0.820 0.172 0.835
O 0.500 0.500 0.500
O 0.180 0.828 0.165
O 0.500 0.500 0.000
O 0.327 0.168 0.330
O 0.301 0.146 0.833
O 0.500 0.000 0.000
F 0.000 0.500 0.000
F 0.836 0.677 0.335
F 0.814 0.657 0.834
F 0.500 0.000 0.500
F 0.186 0.343 0.166
F 0.164 0.323 0.665
CELL_PARAMETERS angstrom
-5.519 0.000 0.000
2.694 4.957 0.000
-0.162 -0.677 -13.811
! Space group: P-1 (2)
! Energy relative to the lowest polymorph listed for this composition, eV per atom: 0.013
! ΔE_f, meV/atom: -2307
! V, Å³/atom: 15.745
! Uncorrected energy, eV per atom: -6.93



[3]
! WXeOF6 | the Materials Project database | GGA+U | optimized geometry; values from VASP
&SYSTEM
  ibrav = 0, nat = 36, ntyp = 4
/
ATOMIC_SPECIES
W 183.84 W.upf
Xe 131.29 Xe.upf
O 16.00 O.upf
F 19.00 F.upf
ATOMIC_POSITIONS crystal
W 0.007 0.392 0.771
W 0.993 0.608 0.229
W 0.507 0.608 0.729
W 0.493 0.392 0.271
Xe 0.752 0.017 0.979
Xe 0.252 0.983 0.521
Xe 0.248 0.983 0.021
Xe 0.748 0.017 0.479
O 0.918 0.475 0.337
O 0.082 0.525 0.663
O 0.582 0.475 0.837
O 0.418 0.525 0.163
F 0.395 0.178 0.960
F 0.415 0.781 0.584
F 0.381 0.490 0.380
F 0.906 0.907 0.226
F 0.607 0.643 0.306
F 0.633 0.239 0.203
F 0.881 0.510 0.120
F 0.915 0.219 0.916
F 0.585 0.219 0.416
F 0.367 0.761 0.797
F 0.605 0.822 0.040
F 0.094 0.093 0.774
F 0.085 0.781 0.084
F 0.133 0.761 0.297
F 0.867 0.239 0.703
F 0.119 0.490 0.880
F 0.105 0.178 0.460
F 0.107 0.357 0.194
F 0.619 0.510 0.620
F 0.594 0.907 0.726
F 0.893 0.643 0.806
F 0.393 0.357 0.694
F 0.406 0.093 0.274
F 0.895 0.822 0.540
CELL_PARAMETERS angstrom
10.417 0.000 0.000
0.000 5.597 0.000
0.000 0.445 12.673
! Space group: P2_1/c (14)
! ΔE_f, meV/atom: -2049
! V, Å³/atom: 20.523
! Uncorrected energy, eV per atom: -4.44



[4]
! Rb3VF6 | the Materials Project database | GGA+U | optimized geometry; values from VASP
&SYSTEM
  ibrav = 0, nat = 10, ntyp = 3
/
ATOMIC_SPECIES
Rb 85.47 Rb.upf
V 50.94 V.upf
F 19.00 F.upf
ATOMIC_POSITIONS crystal
Rb 0.250 0.250 0.250
Rb 0.750 0.750 0.750
Rb 0.500 0.500 0.500
V 0.000 0.000 0.000
F 0.785 0.215 0.215
F 0.215 0.785 0.785
F 0.215 0.785 0.215
F 0.785 0.215 0.785
F 0.215 0.215 0.785
F 0.785 0.785 0.215
CELL_PARAMETERS angstrom
0.000 4.622 4.622
4.622 0.000 4.622
4.622 4.622 0.000
! Space group: Fm-3m (225)
! ΔE_f, meV/atom: -3041
! V, Å³/atom: 19.746
! Uncorrected energy, eV per atom: -4.94



[5]
! RbVF3 | the Materials Project database | GGA+U | optimized geometry; values from VASP
&SYSTEM
  ibrav = 0, nat = 5, ntyp = 3
/
ATOMIC_SPECIES
Rb 85.47 Rb.upf
V 50.94 V.upf
F 19.00 F.upf
ATOMIC_POSITIONS crystal
Rb 0.000 0.000 0.000
V 0.500 0.500 0.500
F 0.000 0.500 0.500
F 0.500 0.000 0.500
F 0.500 0.500 0.000
CELL_PARAMETERS angstrom
4.275 0.000 0.000
0.000 4.275 0.000
0.000 0.000 4.275
! Space group: Pm-3m (221)
! ΔE_f, meV/atom: -3034
! V, Å³/atom: 15.623
! Uncorrected energy, eV per atom: -5.58



[6]
! SrVF5 | the Materials Project database | GGA+U | optimized geometry; values from VASP
&SYSTEM
  ibrav = 0, nat = 56, ntyp = 3
/
ATOMIC_SPECIES
Sr 87.62 Sr.upf
V 50.94 V.upf
F 19.00 F.upf
ATOMIC_POSITIONS crystal
Sr 0.161 0.998 0.637
Sr 0.661 0.002 0.863
Sr 0.839 0.002 0.363
Sr 0.339 0.998 0.137
Sr 0.658 0.310 0.585
Sr 0.158 0.690 0.915
Sr 0.342 0.690 0.415
Sr 0.842 0.310 0.085
V 0.185 0.190 0.874
V 0.685 0.810 0.626
V 0.815 0.810 0.126
V 0.315 0.190 0.374
V 0.118 0.494 0.663
V 0.618 0.506 0.837
V 0.882 0.506 0.337
V 0.382 0.494 0.163
F 0.323 0.045 0.966
F 0.823 0.955 0.534
F 0.677 0.955 0.034
F 0.177 0.045 0.466
F 0.078 0.349 0.958
F 0.578 0.651 0.542
F 0.922 0.651 0.042
F 0.422 0.349 0.458
F 0.366 0.400 0.853
F 0.866 0.600 0.647
F 0.634 0.600 0.147
F 0.134 0.400 0.353
F 0.311 0.032 0.793
F 0.811 0.968 0.707
F 0.689 0.968 0.207
F 0.189 0.032 0.293
F 0.499 0.299 0.098
F 0.999 0.701 0.402
F 0.501 0.701 0.902
F 0.001 0.299 0.598
F 0.306 0.687 0.067
F 0.806 0.313 0.433
F 0.694 0.313 0.933
F 0.194 0.687 0.567
F 0.339 0.687 0.243
F 0.839 0.313 0.257
F 0.661 0.313 0.757
F 0.161 0.687 0.743
F 0.447 0.310 0.271
F 0.947 0.690 0.229
F 0.553 0.690 0.729
F 0.053 0.310 0.771
F 0.164 0.354 0.149
F 0.664 0.646 0.351
F 0.836 0.646 0.851
F 0.336 0.354 0.649
F 0.508 0.996 0.392
F 0.008 0.004 0.108
F 0.492 0.004 0.608
F 0.992 0.996 0.892
CELL_PARAMETERS angstrom
7.403 0.000 0.000
0.000 7.196 0.000
0.000 1.309 14.923
! Space group: P2_1/c (14)
! ΔE_f, meV/atom: -3660
! V, Å³/atom: 14.196
! Uncorrected energy, eV per atom: -5.99



[7]
! VF4 | the Materials Project database | GGA+U | optimized geometry; values from VASP
&SYSTEM
  ibrav = 0, nat = 40, ntyp = 2
/
ATOMIC_SPECIES
V 50.94 V.upf
F 19.00 F.upf
ATOMIC_POSITIONS crystal
V 0.792 0.100 0.049
V 0.313 0.312 0.202
V 0.813 0.812 0.298
V 0.292 0.600 0.451
V 0.708 0.100 0.549
V 0.187 0.312 0.702
V 0.687 0.812 0.798
V 0.208 0.600 0.951
F 0.939 0.506 0.970
F 0.343 0.440 0.049
F 0.253 0.725 0.071
F 0.457 0.163 0.098
F 0.986 0.250 0.137
F 0.751 0.691 0.176
F 0.709 0.984 0.205
F 0.103 0.873 0.264
F 0.603 0.373 0.236
F 0.209 0.484 0.295
F 0.251 0.191 0.324
F 0.486 0.750 0.363
F 0.957 0.663 0.402
F 0.753 0.225 0.429
F 0.843 0.940 0.451
F 0.439 0.006 0.530
F 0.561 0.506 0.470
F 0.157 0.440 0.549
F 0.247 0.725 0.571
F 0.043 0.163 0.598
F 0.514 0.250 0.637
F 0.749 0.691 0.676
F 0.791 0.984 0.705
F 0.397 0.873 0.764
F 0.897 0.373 0.736
F 0.291 0.484 0.795
F 0.249 0.191 0.824
F 0.014 0.750 0.863
F 0.543 0.663 0.902
F 0.747 0.225 0.929
F 0.657 0.940 0.951
F 0.061 0.006 0.030
CELL_PARAMETERS angstrom
-3.504 -3.988 -1.821
6.958 -5.745 -0.811
-1.548 -3.323 10.254
! Space group: Pna2_1 (33)
! ΔE_f, meV/atom: -2950
! V, Å³/atom: 13.842
! Uncorrected energy, eV per atom: -5.59



[8]
! VF4 | the Materials Project database | GGA+U | optimized geometry; values from VASP
&SYSTEM
  ibrav = 0, nat = 40, ntyp = 2
/
ATOMIC_SPECIES
V 50.94 V.upf
F 19.00 F.upf
ATOMIC_POSITIONS crystal
V 0.140 0.054 0.249
V 0.140 0.446 0.249
V 0.360 0.554 0.749
V 0.360 0.946 0.749
V 0.640 0.054 0.251
V 0.640 0.446 0.251
V 0.860 0.554 0.751
V 0.860 0.946 0.751
F 0.110 0.938 0.763
F 0.110 0.562 0.763
F 0.128 0.573 0.391
F 0.128 0.927 0.391
F 0.131 0.250 0.368
F 0.150 0.250 0.130
F 0.152 0.572 0.106
F 0.152 0.928 0.106
F 0.348 0.072 0.606
F 0.348 0.428 0.606
F 0.350 0.750 0.630
F 0.369 0.750 0.868
F 0.372 0.073 0.891
F 0.372 0.427 0.891
F 0.390 0.062 0.263
F 0.390 0.438 0.263
F 0.610 0.562 0.737
F 0.610 0.938 0.737
F 0.628 0.573 0.109
F 0.628 0.927 0.109
F 0.631 0.250 0.132
F 0.650 0.250 0.370
F 0.652 0.572 0.394
F 0.652 0.928 0.394
F 0.848 0.072 0.894
F 0.848 0.428 0.894
F 0.850 0.750 0.870
F 0.869 0.750 0.632
F 0.872 0.073 0.609
F 0.872 0.427 0.609
F 0.890 0.062 0.237
F 0.890 0.438 0.237
CELL_PARAMETERS angstrom
7.784 0.000 0.000
0.000 8.193 0.000
0.000 0.000 9.983
! Space group: Pnma (62)
! ΔE_f, meV/atom: -2985
! V, Å³/atom: 15.916
! Uncorrected energy, eV per atom: -5.62